The following is a DFT calculation (GGA-PBE) of a relaxed CsAg5Se3 crystal. Values from VASP.

Output
- Energy relative to the elements: -0.48 eV/atom
- Total DFT energy (no corrections): -3.159 eV per atom
- M_tot: 0.00 μB/cell
- Corrected total energy (MP2020 scheme): -0.24375 Ry per atom
- Theoretical density: 6.57 Mg/m³
- SG: P4_2/mnm

Structure (Quantum ESPRESSO input):
```
&SYSTEM
  ibrav = 0, nat = 36, ntyp = 3
/
ATOMIC_SPECIES
Cs 132.91 Cs.upf
Ag 107.87 Ag.upf
Se 78.96 Se.upf
CELL_PARAMETERS angstrom
-6.880 -7.301 10.248
-8.590 -5.810 -9.906
2.867 -3.396 -0.494
ATOMIC_POSITIONS crystal
Cs 0.615 0.615 0.000
Cs 0.885 0.115 0.500
Cs 0.385 0.385 0.000
Cs 0.115 0.885 0.500
Ag 0.392 0.983 0.500
Ag 0.517 0.892 0.000
Ag 0.424 0.782 0.500
Ag 0.924 0.718 0.000
Ag 0.576 0.218 0.500
Ag 0.175 0.175 0.500
Ag 0.218 0.576 0.500
Ag 0.782 0.424 0.500
Ag 0.983 0.392 0.500
Ag 0.675 0.325 0.000
Ag 0.718 0.924 0.000
Ag 0.892 0.517 0.000
Ag 0.017 0.608 0.500
Ag 0.076 0.282 0.000
Ag 0.108 0.483 0.000
Ag 0.608 0.017 0.500
Ag 0.282 0.076 0.000
Ag 0.483 0.108 0.000
Ag 0.325 0.675 0.000
Ag 0.825 0.825 0.500
Se 0.831 0.617 0.500
Se 0.617 0.831 0.500
Se 0.400 0.600 0.500
Se 0.117 0.669 0.000
Se 0.169 0.383 0.500
Se 0.331 0.883 0.000
Se 0.900 0.900 0.000
Se 0.883 0.331 0.000
Se 0.383 0.169 0.500
Se 0.600 0.400 0.500
Se 0.100 0.100 0.000
Se 0.669 0.117 0.000
```